(1)
A plane-wave DFT calculation with PBE was carried out for a relaxed structure of Sn5C6S9N2O2.

Output
For the volume, the calculation gives 2480.3 Å³ per cell. For the total moment, the calculation gives 0.00 μB/f.u. For the energy with MP2020 corrections, the calculation gives -567.5 eV for the cell shown. The energy of formation from the pure elements comes out at -11 kJ per mole of atoms.

Geometry as CIF:
```
data_Sn5C6S9N2O2
_chemical_formula_sum 'Sn20 C24 S36 N8 O8'
_cell_length_a 12.803
_cell_length_b 12.803
_cell_length_c 15.131
_cell_angle_alpha 90.00
_cell_angle_beta 90.00
_cell_angle_gamma 90.00
_symmetry_space_group_name_H-M 'P -4 n 2'
_symmetry_Int_Tables_number 118
_symmetry_space_group_name_Hall 'P -4 -2n'
loop_
_atom_site_label
_atom_site_type_symbol
_atom_site_fract_x
_atom_site_fract_y
_atom_site_fract_z
_atom_site_occupancy
Sn1 Sn 0.000 0.000 0.179 1
Sn2 Sn 0.084 0.258 0.174 1
Sn3 Sn 0.104 0.825 0.995 1
C1 C 0.013 0.315 0.537 1
C2 C 0.053 0.643 0.489 1
C3 C 0.122 0.219 0.647 1
S1 S 0.038 0.138 0.288 1
S2 S 0.050 0.186 0.884 1
S3 S 0.075 0.425 0.250 1
S4 S 0.112 0.644 0.084 1
S5 S 0.243 0.254 0.092 1
N1 N 0.072 0.266 0.593 1
O1 O 0.028 0.133 0.080 1
```

---

(2)
A plane-wave DFT calculation with PBE was carried out for a relaxed structure of LiMg6ScSi8O24.

Output
For the volume, the calculation gives 870.9 Å³ per cell. For the total moment, the calculation gives 0.00 μB/f.u. For the energy with MP2020 corrections, the calculation gives -600.2 eV for the cell shown. The energy of formation from the pure elements comes out at -290 kJ per mole of atoms.

Geometry as CIF:
```
data_LiMg6ScSi8O24
_chemical_formula_sum 'Li2 Mg12 Sc2 Si16 O48'
_cell_length_a 7.944
_cell_length_b 14.035
_cell_length_c 7.829
_cell_angle_alpha 90.00
_cell_angle_beta 93.73
_cell_angle_gamma 90.00
_symmetry_space_group_name_H-M 'P 1 c 1'
_symmetry_Int_Tables_number 7
_symmetry_space_group_name_Hall 'P -2yc'
loop_
_atom_site_label
_atom_site_type_symbol
_atom_site_fract_x
_atom_site_fract_y
_atom_site_fract_z
_atom_site_occupancy
Li1 Li 0.000 0.090 0.000 1
Mg1 Mg 0.024 0.449 0.906 1
Mg2 Mg 0.343 0.328 0.626 1
Mg3 Mg 0.377 0.138 0.763 1
Mg4 Mg 0.408 0.474 0.253 1
Mg5 Mg 0.572 0.245 0.362 1
Mg6 Mg 0.809 0.350 0.165 1
Sc1 Sc 0.724 0.246 0.758 1
Si1 Si 0.005 0.337 0.538 1
Si2 Si 0.161 0.054 0.332 1
Si3 Si 0.169 0.261 0.215 1
Si4 Si 0.412 0.322 0.978 1
Si5 Si 0.533 0.023 0.512 1
Si6 Si 0.687 0.440 0.523 1
Si7 Si 0.724 0.099 0.203 1
Si8 Si 0.960 0.098 0.655 1
O1 O 0.016 0.067 0.461 1
O2 O 0.047 0.318 0.078 1
O3 O 0.128 0.402 0.675 1
O4 O 0.152 0.059 0.760 1
O5 O 0.154 0.141 0.190 1
O6 O 0.183 0.285 0.423 1
O7 O 0.302 0.256 0.845 1
O8 O 0.342 0.052 0.440 1
O9 O 0.345 0.434 0.972 1
O10 O 0.374 0.283 0.179 1
O11 O 0.519 0.230 0.600 1
O12 O 0.519 0.430 0.635 1
O13 O 0.543 0.050 0.711 1
O14 O 0.573 0.093 0.037 1
O15 O 0.611 0.304 0.960 1
O16 O 0.612 0.392 0.338 1
O17 O 0.654 0.091 0.401 1
O18 O 0.772 0.211 0.223 1
O19 O 0.789 0.461 0.012 1
O20 O 0.815 0.365 0.635 1
O21 O 0.856 0.129 0.822 1
O22 O 0.869 0.023 0.157 1
O23 O 0.957 0.221 0.601 1
O24 O 0.957 0.405 0.369 1
```

---

(3)
A plane-wave DFT calculation with PBE was carried out for a relaxed structure of Bi2SeO2.

Output
For the volume, the calculation gives 184.4 Å³ per cell. For the total moment, the calculation gives 0.00 μB/f.u. For the energy with MP2020 corrections, the calculation gives -46.5 eV for the cell shown. The energy of formation from the pure elements comes out at -40 kJ per mole of atoms.

Geometry as CIF:
```
data_Bi2SeO2
_chemical_formula_sum 'Bi4 Se2 O4'
_cell_length_a 4.166
_cell_length_b 4.166
_cell_length_c 10.624
_cell_angle_alpha 90.00
_cell_angle_beta 90.00
_cell_angle_gamma 90.00
_symmetry_space_group_name_H-M 'I 4/m m m'
_symmetry_Int_Tables_number 139
_symmetry_space_group_name_Hall '-I 4 2'
loop_
_atom_site_label
_atom_site_type_symbol
_atom_site_fract_x
_atom_site_fract_y
_atom_site_fract_z
_atom_site_occupancy
Bi1 Bi 0.000 0.000 0.189 1
Se1 Se 0.000 0.000 0.500 1
O1 O 0.000 0.500 0.000 1
```

---

(4)
A plane-wave DFT calculation with PBE was carried out for a relaxed structure of Cr2CuS4.

Output
For the volume, the calculation gives 483.9 Å³ per cell. For the total moment, the calculation gives 5.00 μB/f.u. For the polymorph energy (0 for the lowest one), the calculation gives 173 meV per atom. For the energy with MP2020 corrections, the calculation gives -180.8 eV for the cell shown. The energy of formation from the pure elements comes out at -72 kJ per mole of atoms.

Geometry as CIF:
```
data_Cr2CuS4
_chemical_formula_sum 'Cr8 Cu4 S16'
_cell_length_a 6.825
_cell_length_b 12.037
_cell_length_c 5.890
_cell_angle_alpha 90.00
_cell_angle_beta 90.00
_cell_angle_gamma 90.00
_symmetry_space_group_name_H-M 'P m m n'
_symmetry_Int_Tables_number 59
loop_
_symmetry_equiv_pos_as_xyz
'x,y,z'
'-x,-y,-z'
'-x+1/2,-y+1/2,z'
'x+1/2,y+1/2,-z'
'x+1/2,-y,-z'
'-x+1/2,y,z'
'-x,y+1/2,-z'
'x,-y+1/2,z'
loop_
_atom_site_label
_atom_site_type_symbol
_atom_site_fract_x
_atom_site_fract_y
_atom_site_fract_z
_atom_site_occupancy
Cr1 Cr 0.000 0.000 0.000 1
Cr2 Cr 0.250 0.006 0.487 1
Cu1 Cu 0.250 0.250 0.857 1
Cu2 Cu 0.250 0.750 0.537 1
S1 S 0.003 0.114 0.665 1
S2 S 0.250 0.112 0.150 1
S3 S 0.250 0.607 0.821 1
```

---

- Among the records above, which one has the highest energy with MP2020 corrections?
  Bi2SeO2